Computed, not measured: a relaxed Bi2O3 crystal at the GGA-PBE level of DFT.

Output
For the total energy, the calculation gives -5.586 eV/atom. The space group is P-4m2, No. 115. The calculation puts the piezoelectric modulus e_max at 4.37 C/m2. As for the total moment: 0.00 Bohr magnetons per cell. As for the crystal system: tetragonal. The energy relative to the elements comes out at -1473 meV per atom.

Cell: 3.9134 3.9134 5.8426 Å, 90.00 90.00 90.00°
Fractional coordinates of all 5 atoms:
Bi 0.5000 0.0000 0.2225
Bi 0.0000 0.5000 0.7775
O 0.0000 0.0000 0.0000
O 0.0000 0.0000 0.5000
O 0.5000 0.5000 0.0000

Computed, not measured: a relaxed Bi2O3 crystal at the GGA-PBE level of DFT.

Output
For the total energy, the calculation gives -5.717 eV/atom. The space group is P1, No. 1. As for the total moment: 0.00 Bohr magnetons per cell. As for the crystal system: triclinic. The energy relative to the elements comes out at -1604 meV per atom.

Cell: 8.9951 9.0475 37.2263 Å, 94.52 94.54 109.44°
Fractional coordinates of all 160 atoms:
Bi 0.0095 0.7143 0.0606
Bi 0.5917 0.7698 0.0399
Bi 0.2188 0.5466 0.1282
Bi 0.8530 0.3500 0.1714
Bi 0.6159 0.3105 0.2665
Bi 0.2257 0.3996 0.0317
Bi 0.5717 0.5974 0.1997
Bi 0.6075 0.4653 0.1034
Bi 0.2065 0.3696 0.2401
Bi 0.8321 0.1414 0.3338
Bi 0.9712 0.1010 0.0957
Bi 0.3375 0.1792 0.1605
Bi 0.4436 0.9479 0.3724
Bi 0.2044 0.9029 0.4639
Bi 0.7788 0.2891 0.0320
Bi 0.8308 0.0245 0.2314
Bi 0.2100 0.0689 0.3033
Bi 0.3608 0.0537 0.0593
Bi 0.8135 0.9851 0.4376
Bi 0.9958 0.7978 0.1663
Bi 0.5641 0.7069 0.3003
Bi 0.4271 0.7427 0.5295
Bi 0.9452 0.7760 0.3624
Bi 0.0507 0.5551 0.5721
Bi 0.8158 0.5106 0.6668
Bi 0.5835 0.9264 0.1366
Bi 0.3757 0.8935 0.2301
Bi 0.4464 0.6264 0.4327
Bi 0.7734 0.7987 0.5997
Bi 0.9756 0.6447 0.2595
Bi 0.8094 0.6651 0.5001
Bi 0.4063 0.5696 0.6400
Bi 0.5940 0.4076 0.3660
Bi 0.0318 0.3410 0.7338
Bi 0.1681 0.3082 0.4991
Bi 0.6436 0.1488 0.7726
Bi 0.5397 0.3781 0.5611
Bi 0.4022 0.1042 0.8648
Bi 0.1797 0.5129 0.3389
Bi 0.0314 0.2255 0.6316
Bi 0.9744 0.4699 0.4278
Bi 0.3993 0.4014 0.8002
Bi 0.4103 0.2691 0.7033
Bi 0.0146 0.1880 0.8382
Bi 0.5682 0.2442 0.4609
Bi 0.1962 0.0000 0.5672
Bi 0.6259 0.9351 0.9302
Bi 0.7647 0.9075 0.7003
Bi 0.1464 0.9769 0.7627
Bi 0.2402 0.7560 0.9752
Bi 0.7813 0.1191 0.5373
Bi 0.5764 0.0930 0.6305
Bi 0.6460 0.8283 0.8329
Bi 0.1981 0.2010 0.4002
Bi 0.0102 0.8590 0.8976
Bi 0.1752 0.8454 0.6602
Bi 0.7943 0.6087 0.7660
Bi 0.3707 0.5088 0.9024
Bi 0.7643 0.6053 0.9652
Bi 0.3802 0.7128 0.7384
Bi 0.1778 0.6656 0.8272
Bi 0.7613 0.4423 0.8611
Bi 0.4203 0.2184 0.9663
Bi 0.9717 0.3252 0.9378
O 0.8496 0.8475 0.0732
O 0.3187 0.6911 0.0246
O 0.0041 0.6346 0.1232
O 0.9926 0.6004 0.1999
O 0.4514 0.4505 0.2737
O 0.1045 0.4661 0.0738
O 0.6995 0.6780 0.1552
O 0.2988 0.2975 0.3496
O 0.4897 0.6004 0.0763
O 0.7886 0.5244 0.0480
O 0.9177 0.2873 0.2227
O 0.0818 0.3465 0.1509
O 0.6017 0.2402 0.3241
O 0.3798 0.3823 0.1267
O 0.5640 0.2004 0.3999
O 0.0539 0.0547 0.4736
O 0.6121 0.3802 0.2010
O 0.8216 0.0746 0.1469
O 0.7111 0.0730 0.2750
O 0.1625 0.1650 0.0536
O 0.9457 0.1996 0.4001
O 0.5247 0.2792 0.0524
O 0.0913 0.2012 0.2752
O 0.4983 0.1254 0.1277
O 0.3922 0.1299 0.2492
O 0.5196 0.8889 0.4226
O 0.1324 0.0140 0.1240
O 0.6699 0.9353 0.3496
O 0.2025 0.8350 0.5242
O 0.9803 0.9800 0.3266
O 0.1914 0.7995 0.6005
O 0.6510 0.6504 0.6737
O 0.1981 0.9491 0.4008
O 0.4186 0.6672 0.3470
O 0.2667 0.8918 0.1779
O 0.3153 0.6724 0.4749
O 0.7443 0.7327 0.2431
O 0.9030 0.8861 0.5564
O 0.5890 0.9691 0.0724
O 0.1245 0.8762 0.2534
O 0.6869 0.8001 0.4755
O 0.5963 0.9732 0.1995
O 0.0981 0.7197 0.3279
O 0.1168 0.4875 0.6228
O 0.9852 0.7208 0.4501
O 0.7259 0.6119 0.3248
O 0.2794 0.5440 0.5511
O 0.8015 0.4402 0.7243
O 0.5773 0.5779 0.5265
O 0.7635 0.4018 0.8005
O 0.2498 0.2517 0.8745
O 0.8158 0.5821 0.6013
O 0.0198 0.2684 0.5473
O 0.9110 0.2729 0.6751
O 0.8684 0.4974 0.3774
O 0.3520 0.3519 0.4503
O 0.1459 0.4012 0.8002
O 0.4993 0.4974 0.7495
O 0.7203 0.4713 0.4532
O 0.1926 0.5669 0.2716
O 0.2916 0.4014 0.6753
O 0.2027 0.5641 0.4004
O 0.6970 0.3196 0.5281
O 0.5923 0.3300 0.6491
O 0.7173 0.0895 0.8229
O 0.3291 0.2160 0.5257
O 0.8701 0.1351 0.7496
O 0.4023 0.0406 0.9240
O 0.1803 0.1798 0.7265
O 0.3774 0.0034 0.9999
O 0.3973 0.1492 0.8000
O 0.4686 0.0893 0.5781
O 0.6182 0.8681 0.7470
O 0.5159 0.8730 0.8752
O 0.9441 0.9332 0.6436
O 0.3245 0.0759 0.6534
O 0.7886 0.1673 0.4731
O 0.8901 0.0010 0.8756
O 0.7965 0.1735 0.6000
O 0.2977 0.9192 0.7278
O 0.1841 0.9179 0.8504
O 0.9257 0.8116 0.7249
O 0.4746 0.7349 0.9498
O 0.7826 0.7802 0.9259
O 0.0011 0.7319 0.9994
O 0.0683 0.6975 0.7777
O 0.2152 0.4561 0.9476
O 0.5574 0.5526 0.8496
O 0.9201 0.6704 0.8539
O 0.3923 0.7664 0.6718
O 0.4029 0.7633 0.8002
O 0.8978 0.5234 0.9283
O 0.5290 0.4097 0.9273
O 0.6725 0.2829 0.9784
O 0.9837 0.3671 0.8736
O 0.9928 0.3620 0.0001

Computed, not measured: a relaxed Bi2O3 crystal at the GGA-PBE level of DFT.

Output
For the total energy, the calculation gives -5.736 eV/atom. The space group is Pbcn, No. 60. As for the crystal system: orthorhombic. The energy relative to the elements comes out at -1623 meV per atom.

Cell: 5.7036 5.8293 11.8534 Å, 90.00 90.00 90.00°
Fractional coordinates of all 20 atoms:
Bi 0.0505 0.1856 0.6280
Bi 0.5505 0.3144 0.8720
Bi 0.9495 0.3144 0.1280
Bi 0.4495 0.1856 0.3720
Bi 0.9495 0.8144 0.3720
Bi 0.4495 0.6856 0.1280
Bi 0.0505 0.6856 0.8720
Bi 0.5505 0.8144 0.6280
O 0.7500 0.0532 0.5000
O 0.2500 0.4468 0.0000
O 0.2500 0.9468 0.5000
O 0.7500 0.5532 0.0000
O 0.6125 0.4089 0.2153
O 0.1125 0.0911 0.2847
O 0.3875 0.0911 0.7153
O 0.8875 0.4089 0.7847
O 0.3875 0.5911 0.7847
O 0.8875 0.9089 0.7153
O 0.6125 0.9089 0.2847
O 0.1125 0.5911 0.2153

Computed, not measured: a relaxed Bi19O30 crystal at the GGA-PBE level of DFT.

Output
For the total energy, the calculation gives -5.685 eV/atom. The space group is P3, No. 143. As for the total moment: 0.72 Bohr magnetons per cell. As for the crystal system: trigonal. The energy relative to the elements comes out at -1567 meV per atom.

Cell: 14.7258 14.7258 9.0026 Å, 90.00 90.00 120.00°
Fractional coordinates of all 98 atoms:
Bi 0.1452 0.9887 0.3192
Bi 0.3696 0.9336 0.2231
Bi 0.5122 0.8299 0.0169
Bi 0.8435 0.8548 0.3192
Bi 0.9540 0.7382 0.0830
Bi 0.6179 0.8889 0.4271
Bi 0.1701 0.6823 0.0169
Bi 0.5641 0.6304 0.2231
Bi 0.2187 0.9595 0.9072
Bi 0.1111 0.7290 0.4271
Bi 0.3333 0.6667 0.3391
Bi 0.9824 0.8375 0.6734
Bi 0.3360 0.8226 0.6858
Bi 0.6777 0.4924 0.0144
Bi 0.3177 0.4878 0.0169
Bi 0.4866 0.6640 0.6858
Bi 0.0664 0.4359 0.2231
Bi 0.7409 0.7813 0.9072
Bi 0.8147 0.3223 0.0144
Bi 0.7046 0.6102 0.5611
Bi 0.8486 0.4996 0.3406
Bi 0.1774 0.5134 0.6858
Bi 0.5076 0.1853 0.0144
Bi 0.2710 0.3821 0.4271
Bi 0.9478 0.5562 0.7469
Bi 0.5004 0.3490 0.3406
Bi 0.2618 0.2158 0.0830
Bi 0.7842 0.0460 0.0830
Bi 0.9055 0.2954 0.5611
Bi 0.4438 0.3916 0.7469
Bi 0.6667 0.3333 0.6619
Bi 0.0113 0.1565 0.3192
Bi 0.6510 0.1514 0.3406
Bi 0.3898 0.0945 0.5611
Bi 0.0405 0.2591 0.9072
Bi 0.1625 0.1449 0.6734
Bi 0.6084 0.0522 0.7469
Bi 0.8551 0.0176 0.6734
O 0.8125 0.9051 0.0934
O 0.0949 0.9074 0.0934
O 0.7901 0.9537 0.4049
O 0.2993 0.9579 0.4118
O 0.5746 0.7875 0.2146
O 0.2125 0.7872 0.2146
O 0.7068 0.6746 0.0850
O 0.0463 0.8364 0.4049
O 0.4089 0.8189 0.4108
O 0.3333 0.6667 0.1111
O 0.4950 0.8794 0.7431
O 0.8333 0.5502 0.0834
O 0.8385 0.7994 0.5752
O 0.0051 0.6264 0.2655
O 0.6587 0.7007 0.4118
O 0.6668 0.9516 0.9287
O 0.4100 0.5911 0.4108
O 0.1811 0.5900 0.4108
O 0.2893 0.8225 0.9205
O 0.9602 0.6689 0.5915
O 0.6199 0.4898 0.2446
O 0.8804 0.7593 0.8768
O 0.2128 0.4254 0.2146
O 0.6667 0.3333 0.0372
O 0.3333 0.6667 0.7042
O 0.3736 0.3787 0.2655
O 0.0484 0.7153 0.9287
O 0.1206 0.6155 0.7431
O 0.4498 0.2831 0.0834
O 0.6345 0.6340 0.7492
O 0.9678 0.2932 0.0850
O 0.8699 0.3801 0.2446
O 0.5332 0.7107 0.9205
O 0.9142 0.4559 0.5439
O 0.5441 0.4583 0.5439
O 0.7169 0.1667 0.0834
O 0.0421 0.3413 0.4118
O 0.3845 0.5050 0.7431
O 0.6667 0.3333 0.4352
O 0.0926 0.1875 0.0934
O 0.7438 0.4841 0.7406
O 0.1636 0.2099 0.4049
O 0.5102 0.1301 0.2446
O 0.1775 0.4668 0.9205
O 0.9995 0.3655 0.7492
O 0.3254 0.0322 0.0850
O 0.3311 0.2914 0.5915
O 0.7404 0.2562 0.7406
O 0.5159 0.2596 0.7406
O 0.9609 0.1615 0.5752
O 0.2847 0.3332 0.9287
O 0.6213 0.9949 0.2655
O 0.0000 0.0000 0.3507
O 0.5417 0.0858 0.5439
O 0.7086 0.0398 0.5915
O 0.2006 0.0391 0.5752
O 0.2407 0.1211 0.8768
O 0.8789 0.1196 0.8768
O 0.3660 0.0005 0.7492
O 0.0000 0.0000 0.7140

Computed, not measured: a relaxed Bi2O3 crystal at the GGA-PBE level of DFT.

Output
For the total energy, the calculation gives -5.683 eV/atom. The space group is P-3m1, No. 164. As for the crystal system: trigonal. The energy relative to the elements comes out at -1571 meV per atom.

Cell: 3.8789 3.8789 6.0227 Å, 90.00 90.00 120.00°
Fractional coordinates of all 5 atoms:
Bi 0.6667 0.3333 0.7560
Bi 0.3333 0.6667 0.2440
O 0.6667 0.3333 0.3679
O 0.3333 0.6667 0.6321
O 0.0000 0.0000 0.0000

Computed, not measured: a relaxed BiO2 crystal at the GGA-PBE level of DFT.

Output
For the total energy, the calculation gives -5.525 eV/atom. The space group is R3m, No. 160. As for the total moment: 1.83 Bohr magnetons per cell. As for the crystal system: trigonal. The energy relative to the elements comes out at -1388 meV per atom.

Cell: 5.5849 5.5849 5.5849 Å, 88.87 88.87 88.87°
Fractional coordinates of all 12 atoms:
Bi 0.8551 0.8551 0.8551
Bi 0.8685 0.3661 0.3661
Bi 0.3661 0.3661 0.8685
Bi 0.3661 0.8685 0.3661
O 0.5830 0.1389 0.5830
O 0.5830 0.5830 0.1389
O 0.1389 0.5830 0.5830
O 0.6423 0.6423 0.6423
O 0.1603 0.1603 0.1603
O 0.6520 0.0810 0.0810
O 0.0810 0.0810 0.6520
O 0.0810 0.6520 0.0810

Computed, not measured: a relaxed Bi2O3 crystal at the GGA-PBE level of DFT.

Output
For the total energy, the calculation gives -5.731 eV/atom. The space group is P2_1/c, No. 14. As for the crystal system: monoclinic. The energy relative to the elements comes out at -1619 meV per atom.

Cell: 7.3801 9.4377 10.3273 Å, 76.68 90.00 90.00°
Fractional coordinates of all 40 atoms:
Bi 0.9016 0.7157 0.9281
Bi 0.4016 0.2843 0.5719
Bi 0.0984 0.2843 0.0719
Bi 0.5984 0.7157 0.4281
Bi 0.4047 0.0804 0.3212
Bi 0.9047 0.9196 0.1788
Bi 0.5953 0.9196 0.6788
Bi 0.0953 0.0804 0.8212
Bi 0.1226 0.5744 0.3368
Bi 0.6226 0.4256 0.1632
Bi 0.8774 0.4256 0.6632
Bi 0.3774 0.5744 0.8368
Bi 0.3789 0.7873 0.0683
Bi 0.8789 0.2127 0.4317
Bi 0.6211 0.2127 0.9317
Bi 0.1211 0.7873 0.5683
O 0.3660 0.5638 0.1789
O 0.8660 0.4362 0.3211
O 0.6340 0.4362 0.8211
O 0.1340 0.5638 0.6789
O 0.3463 0.0737 0.5319
O 0.8463 0.9263 0.9681
O 0.6537 0.9263 0.4681
O 0.1537 0.0737 0.0319
O 0.9500 0.2752 0.8457
O 0.4500 0.7248 0.6543
O 0.0500 0.7248 0.1543
O 0.5500 0.2752 0.3457
O 0.1975 0.7742 0.8870
O 0.6975 0.2258 0.6130
O 0.8025 0.2258 0.1130
O 0.3025 0.7742 0.3870
O 0.9362 0.7158 0.4271
O 0.4362 0.2842 0.0729
O 0.0638 0.2842 0.5729
O 0.5638 0.7158 0.9271
O 0.8619 0.8123 0.7179
O 0.3619 0.1877 0.7821
O 0.1381 0.1877 0.2821
O 0.6381 0.8123 0.2179

Computed, not measured: a relaxed Bi2O3 crystal at the GGA-PBE level of DFT.

Output
For the total energy, the calculation gives -5.754 eV/atom. The space group is P2_1/c, No. 14. As for the crystal system: monoclinic. The energy relative to the elements comes out at -1642 meV per atom.

Cell: 8.2764 5.9333 7.5278 Å, 67.53 90.00 90.00°
Fractional coordinates of all 20 atoms:
Bi 0.5413 0.0397 0.7230
Bi 0.0413 0.9603 0.7770
Bi 0.4587 0.9603 0.2770
Bi 0.9587 0.0397 0.2230
Bi 0.6832 0.5241 0.1343
Bi 0.1832 0.4759 0.3657
Bi 0.3168 0.4759 0.8657
Bi 0.8168 0.5241 0.6343
O 0.5331 0.2692 0.9881
O 0.0331 0.7308 0.5119
O 0.4669 0.7308 0.0119
O 0.9669 0.2692 0.4881
O 0.5499 0.2366 0.3767
O 0.0499 0.7634 0.1233
O 0.4501 0.7634 0.6233
O 0.9501 0.2366 0.8767
O 0.7018 0.7777 0.2943
O 0.2018 0.2223 0.2057
O 0.2982 0.2223 0.7057
O 0.7982 0.7777 0.7943

- Which of these has the highest energy relative to the elements?
  BiO2

- Which of these has the lowest energy relative to the elements?
  number 8

- Which of these has the lowest energy relative to the elements?
  number 8

- energy relative to the elements of number 6 (BiO2)?
  -1388 meV per atom